{
  "formula": "CsSbC6Cl5",
  "functional": "GGA-PBE",
  "state": "optimized geometry",
  "lattice": [[7.4719, 0.0000, 0.0000], [0.0000, 7.5170, 0.0000], [0.0000, 0.0000, 12.9666]],
  "species": ["C", "C", "C", "C", "C", "C", "C", "C", "Cl", "Cl", "Cl", "Cl", "C", "Cl", "C", "Sb", "Cl", "Cl", "Sb", "C", "Cs", "C", "Cl", "Cs", "Cl", "Cl"],
  "fractional_positions": [[0.6751, 0.5178, 0.4554], [0.6400, 0.5105, 0.5559], [0.5000, 0.5188, 0.4329], [0.8600, 0.0105, 0.4441], [0.3249, 0.5178, 0.4554], [0.1751, 0.0178, 0.5446], [0.8249, 0.0178, 0.5446], [0.1400, 0.0105, 0.4441], [0.2684, 0.7308, 0.7996], [0.7316, 0.7308, 0.7996], [0.0000, 0.0026, 0.0151], [0.2691, 0.2728, 0.8003], [0.5000, 0.5041, 0.6249], [0.5000, 0.5026, 0.9849], [0.3600, 0.5105, 0.5559], [0.0000, 0.0018, 0.2078], [0.7684, 0.2308, 0.2004], [0.7691, 0.7728, 0.1997], [0.5000, 0.5018, 0.7922], [0.0000, 0.0188, 0.5671], [0.5000, 0.0016, 0.9991], [0.0000, 0.0041, 0.3751], [0.7309, 0.2728, 0.8003], [0.0000, 0.5016, 0.0009], [0.2309, 0.7728, 0.1997], [0.2316, 0.2308, 0.2004]],
  "density_g_cm3": 2.30,
  "energy_ev_per_cell": -133.091,
  "vol_a3_per_atom": 28.011,
  "ef_ev_per_fu": 0.024,
  "spacegroup": "Pmn2_1",
  "total_magnetization_mub_per_fu": 1.00
}



{
  "formula": "Cs3Tb10C4Cl21",
  "functional": "GGA-PBE",
  "state": "optimized geometry",
  "lattice": [[-0.2076, -8.2788, 10.4870], [9.9023, -0.8395, 8.9330], [-5.7259, 9.8986, 10.1351]],
  "species": ["Cl", "C", "Tb", "Tb", "Tb", "Cl", "Cl", "Cl", "Tb", "C", "Cs", "Cs", "C", "Cs", "Cs", "Cl", "Tb", "Tb", "Cl", "Tb", "C", "Cl", "Tb", "Cl", "Tb", "Cl", "Tb", "Tb", "Cl", "C", "Cl", "Tb", "Tb", "Cl", "Cl", "Tb", "Tb", "Cl", "Tb", "Cl", "Cl", "Cl", "Cl", "Cl", "Cl", "Cl", "Cs", "Cs", "C", "Cl", "Cl", "Tb", "C", "Tb", "Cl", "Cl", "Cl", "Cl", "Cl", "Cl", "Cl", "Cl", "C", "Cl", "Cl", "Cl", "Cl", "Cl", "Tb", "Cl", "Cl", "Cl", "Tb", "Cl", "Cl", "Cl"],
  "fractional_positions": [[0.4213, 0.4262, 0.4896], [0.4514, 0.8798, 0.9980], [0.4945, 0.7518, 0.1185], [0.7672, 0.0403, 0.0165], [0.0996, 0.3739, 0.5404], [0.1420, 0.1484, 0.0791], [0.1306, 0.1229, 0.8387], [0.5738, 0.5787, 0.0104], [0.5055, 0.2482, 0.8815], [0.8798, 0.4514, 0.4980], [0.8599, 0.3503, 0.9525], [0.9727, 0.0273, 0.2500], [0.5486, 0.1202, 0.0020], [0.0273, 0.9727, 0.7500], [0.6497, 0.1401, 0.5475], [0.3888, 0.4474, 0.2225], [0.6480, 0.9192, 0.1998], [0.2328, 0.9597, 0.9835], [0.7369, 0.1875, 0.8660], [0.2455, 0.4963, 0.6287], [0.1202, 0.5486, 0.5020], [0.5728, 0.0569, 0.7781], [0.0808, 0.3520, 0.3002], [0.8516, 0.8580, 0.4209], [0.3739, 0.0996, 0.0404], [0.4262, 0.4213, 0.9896], [0.7545, 0.5037, 0.3713], [0.7518, 0.4945, 0.6185], [0.6112, 0.5526, 0.7775], [0.5910, 0.0345, 0.0764], [0.2738, 0.2828, 0.3976], [0.4963, 0.2455, 0.1287], [0.9192, 0.6480, 0.6998], [0.7324, 0.7073, 0.8534], [0.8694, 0.8771, 0.1613], [0.9004, 0.6261, 0.4596], [0.6261, 0.9004, 0.9596], [0.2882, 0.7776, 0.8865], [0.9597, 0.2328, 0.4835], [0.7118, 0.2224, 0.1135], [0.1484, 0.1420, 0.5791], [0.8125, 0.2631, 0.6340], [0.8771, 0.8694, 0.6613], [0.4272, 0.9431, 0.2219], [0.9431, 0.4272, 0.7219], [0.5688, 0.1113, 0.2896], [0.1401, 0.6497, 0.0475], [0.3503, 0.8599, 0.4525], [0.0345, 0.5910, 0.5764], [0.8887, 0.4312, 0.2104], [0.2224, 0.7118, 0.6135], [0.5037, 0.7545, 0.8713], [0.9655, 0.4090, 0.4236], [0.3520, 0.0808, 0.8002], [0.0000, 0.0000, 0.5000], [0.2631, 0.8125, 0.1340], [0.0569, 0.5728, 0.2781], [0.7073, 0.7324, 0.3534], [0.4474, 0.3888, 0.7225], [0.7262, 0.7172, 0.6024], [0.7172, 0.7262, 0.1024], [0.0000, 0.0000, 0.0000], [0.4090, 0.9655, 0.9236], [0.1229, 0.1306, 0.3387], [0.2927, 0.2676, 0.6466], [0.2676, 0.2927, 0.1466], [0.7776, 0.2882, 0.3865], [0.2828, 0.2738, 0.8976], [0.0403, 0.7672, 0.5165], [0.5787, 0.5738, 0.5104], [0.8580, 0.8516, 0.9209], [0.1875, 0.7369, 0.3660], [0.2482, 0.5055, 0.3815], [0.5526, 0.6112, 0.2775], [0.4312, 0.8887, 0.7104], [0.1113, 0.5688, 0.7896]],
  "density_g_cm3": 4.10,
  "energy_ev_per_cell": -396.349,
  "vol_a3_per_atom": 29.631,
  "ef_ev_per_fu": -86.305,
  "spacegroup": "C2/c",
  "total_magnetization_mub_per_fu": 0.00
}